Mn6O7F5, relaxed, DFT PBE with a Hubbard U; piezoelectric modulus e_max = 0.4 C/m²; energy of formation from the pure elements = -2235 meV per atom; raw total energy = -6.793 eV/atom; total magnetization = 1.278 μB per atom
1.0
-0.982 -3.908 -3.796
4.066 0.191 -3.817
4.454 -5.692 1.401
Mn O F
6 7 5
Cartesian
4.043 -5.096 -1.630 Mn
5.265 -6.545 -6.810 Mn
3.673 -9.492 -2.476 Mn
5.879 -7.318 -4.078 Mn
1.764 -2.159 -2.291 Mn
3.205 -4.313 -4.474 Mn
2.955 -3.773 -2.676 O
5.064 -6.292 -0.470 O
0.744 -2.620 -3.905 O
5.587 -3.802 -1.611 O
1.815 -5.611 -4.462 O
2.489 -6.347 -1.622 O
2.600 -3.009 -5.934 O
3.942 -5.066 -6.204 F
4.645 -5.785 -3.480 F
4.903 -3.182 -4.435 F
3.396 -4.352 0.137 F
7.128 -6.674 -2.586 F

Mn12O5F19, relaxed, DFT PBE with a Hubbard U; energy of formation from the pure elements = -2655 meV per atom; raw total energy = -6.511 eV/atom; total magnetization = 1.528 μB per atom
1.0
4.845 0.000 0.000
0.242 5.797 0.000
0.028 0.082 16.074
F Mn O
19 12 5
Cartesian
3.724 0.664 8.385 F
1.102 0.663 4.890 F
1.397 5.191 7.531 F
3.700 3.614 8.542 F
3.894 5.177 0.275 F
3.832 5.156 11.109 F
1.471 3.606 5.021 F
1.449 3.512 10.332 F
1.523 3.669 15.700 F
3.794 0.674 3.015 F
3.860 0.803 13.680 F
1.396 2.320 7.638 F
1.480 2.365 13.071 F
3.957 5.180 5.697 F
3.715 3.643 13.872 F
3.594 3.637 3.091 F
1.335 2.283 2.351 F
1.089 0.805 15.614 F
3.700 2.278 11.271 F
0.047 0.923 1.314 Mn
2.544 3.940 12.113 Mn
2.576 3.810 1.343 Mn
2.673 2.029 14.886 Mn
2.585 1.955 4.130 Mn
0.243 4.942 9.399 Mn
2.411 1.847 9.480 Mn
0.291 4.958 14.624 Mn
0.207 0.911 12.015 Mn
2.704 3.787 6.690 Mn
0.324 4.840 3.840 Mn
4.858 1.017 6.623 Mn
1.033 0.629 10.342 O
1.324 5.238 12.906 O
3.611 2.258 0.604 O
3.632 2.342 5.894 O
1.312 5.161 2.048 O

no.,calculated volume (Å³/cell),energy with MP2020 corrections (eV/atom)
1,200.9,-7.745
2,451.5,-7.406